A relaxed structure of Li5V5Ni2O12, computed with PBE with a Hubbard U.

For the total energy after the MP2020 corrections, the calculation gives -179.7 eV/cell. For the theoretical density, the calculation gives 4.4 g cm⁻³. The total moment comes out at 14.000 μB per cell. The formation energy is -2.24 eV per atom.

Lattice parameters (Å, degrees): 5.170 5.170 9.895 85.13 85.13 119.81
Atoms (fractional coordinates):
Li  0.838  0.661  0.263
Li  0.688  0.855  0.737
Li  0.339  0.162  0.737
Li  0.145  0.312  0.263
Li  0.079  0.921  0.500
V  0.577  0.423  0.000
V  0.425  0.575  0.500
V  0.916  0.084  0.000
V  0.003  0.514  0.740
V  0.486  0.997  0.260
Ni  0.753  0.247  0.500
Ni  0.246  0.754  0.000
O  0.055  0.229  0.621
O  0.771  0.945  0.379
O  0.850  0.358  0.122
O  0.642  0.150  0.878
O  0.716  0.535  0.625
O  0.465  0.284  0.375
O  0.552  0.730  0.117
O  0.270  0.448  0.883
O  0.369  0.848  0.628
O  0.152  0.631  0.372
O  0.217  0.055  0.117
O  0.945  0.783  0.883